Record 1
# LaH3O3 (PBE-GGA, relaxed)
data_LaH3O3
_chemical_formula_sum 'La8 H24 O24'
_symmetry_space_group_name_H-M 'P 1'
_symmetry_Int_Tables_number 1
_symmetry_space_group_name_Hall 'P 1'
_cell_length_a 10.8660
_cell_length_b 6.7743
_cell_length_c 15.3522
_cell_angle_alpha 90.00
_cell_angle_beta 131.28
_cell_angle_gamma 90.00
loop_
_atom_site_label
_atom_site_fract_x
_atom_site_fract_y
_atom_site_fract_z
La1 0.1651 0.0284 0.1665
La2 0.1651 0.4716 0.6665
La3 0.3312 0.5344 0.3323
La4 0.3312 0.9656 0.8323
La5 0.6688 0.0344 0.1677
La6 0.6688 0.4656 0.6677
La7 0.8349 0.5284 0.3335
La8 0.8349 0.9716 0.8335
H1 0.0071 0.2222 0.3008
H2 0.0071 0.2778 0.8008
H3 0.2012 0.6388 0.5015
H4 0.2012 0.8612 0.0015
H5 0.2018 0.0753 0.5955
H6 0.2018 0.4247 0.0955
H7 0.2687 0.1524 0.3990
H8 0.2687 0.3476 0.8990
H9 0.4199 0.7132 0.0324
H10 0.4199 0.7868 0.5324
H11 0.4837 0.1495 0.6811
H12 0.4837 0.3505 0.1811
H13 0.5163 0.6495 0.8189
H14 0.5163 0.8505 0.3189
H15 0.5801 0.2132 0.4676
H16 0.5801 0.2868 0.9676
H17 0.7313 0.6524 0.1010
H18 0.7313 0.8476 0.6010
H19 0.7982 0.5753 0.9045
H20 0.7982 0.9247 0.4045
H21 0.7988 0.1388 0.9985
H22 0.7988 0.3612 0.4985
H23 0.9929 0.7222 0.1992
H24 0.9929 0.7778 0.6992
O1 0.0928 0.7301 0.2101
O2 0.0928 0.7699 0.7101
O3 0.1106 0.6175 0.5000
O4 0.1106 0.8825 0.0000
O5 0.2087 0.2182 0.3244
O6 0.2087 0.2818 0.8244
O7 0.2742 0.1461 0.6691
O8 0.2742 0.3539 0.1691
O9 0.4090 0.6455 0.5164
O10 0.4090 0.8545 0.0164
O11 0.4202 0.6547 0.8124
O12 0.4202 0.8453 0.3124
O13 0.5798 0.1547 0.6876
O14 0.5798 0.3453 0.1876
O15 0.5910 0.1455 0.9836
O16 0.5910 0.3545 0.4836
O17 0.7258 0.6461 0.8309
O18 0.7258 0.8539 0.3309
O19 0.7913 0.7182 0.1756
O20 0.7913 0.7818 0.6756
O21 0.8894 0.1175 0.0000
O22 0.8894 0.3825 0.5000
O23 0.9072 0.2301 0.2899
O24 0.9072 0.2699 0.7899
# VASP energy	-0.4526	Ry/atom
# polymorph energy (0 for the lowest one)	64	meV/atom
# symmetry	P2_1/c, No. 14

Record 2
# LaH3O3 (PBE-GGA, relaxed)
data_LaH3O3
_chemical_formula_sum 'La2 H6 O6'
_symmetry_space_group_name_H-M 'P 1'
_symmetry_Int_Tables_number 1
_symmetry_space_group_name_Hall 'P 1'
_cell_length_a 6.5260
_cell_length_b 6.5260
_cell_length_c 3.8733
_cell_angle_alpha 90.00
_cell_angle_beta 90.00
_cell_angle_gamma 120.00
loop_
_atom_site_label
_atom_site_fract_x
_atom_site_fract_y
_atom_site_fract_z
La1 0.3333 0.6667 0.0000
La2 0.6667 0.3333 0.5000
H1 0.1275 0.2752 0.5622
H2 0.1477 0.8725 0.5622
H3 0.2752 0.1477 0.0622
H4 0.7248 0.8523 0.5622
H5 0.8523 0.1275 0.0622
H6 0.8725 0.7248 0.0622
O1 0.0779 0.3851 0.4778
O2 0.3072 0.9221 0.4778
O3 0.3851 0.3072 0.9778
O4 0.6149 0.6928 0.4778
O5 0.6928 0.0779 0.9778
O6 0.9221 0.6149 0.9778
# VASP energy	-0.4574	Ry/atom
# polymorph energy (0 for the lowest one)	0	meV/atom
# symmetry	P6_3, No. 173

Record 3
# LaHO2 (PBE-GGA, relaxed)
data_LaHO2
_chemical_formula_sum 'La2 H2 O4'
_symmetry_space_group_name_H-M 'P 1'
_symmetry_Int_Tables_number 1
_symmetry_space_group_name_Hall 'P 1'
_cell_length_a 4.4942
_cell_length_b 3.9402
_cell_length_c 6.4409
_cell_angle_alpha 90.00
_cell_angle_beta 107.68
_cell_angle_gamma 90.00
loop_
_atom_site_label
_atom_site_fract_x
_atom_site_fract_y
_atom_site_fract_z
La1 0.1686 0.2500 0.3074
La2 0.8314 0.7500 0.6926
H1 0.4774 0.7500 0.0795
H2 0.5226 0.2500 0.9205
O1 0.2540 0.7500 0.0630
O2 0.2618 0.7500 0.5428
O3 0.7382 0.2500 0.4572
O4 0.7460 0.2500 0.9370
# VASP energy	-0.5262	Ry/atom
# symmetry	P2_1/m, No. 11

Record 4
# LaHO (PBE-GGA, relaxed)
data_LaHO
_chemical_formula_sum 'La8 H8 O8'
_symmetry_space_group_name_H-M 'P 1'
_symmetry_Int_Tables_number 1
_symmetry_space_group_name_Hall 'P 1'
_cell_length_a 8.0827
_cell_length_b 8.0827
_cell_length_c 5.7155
_cell_angle_alpha 90.00
_cell_angle_beta 90.00
_cell_angle_gamma 90.00
loop_
_atom_site_label
_atom_site_fract_x
_atom_site_fract_y
_atom_site_fract_z
La1 0.0000 0.0000 0.0000
La2 0.0000 0.5000 0.0000
La3 0.2500 0.2500 0.4432
La4 0.2500 0.7500 0.5000
La5 0.5000 0.0000 0.0000
La6 0.5000 0.5000 0.0000
La7 0.7500 0.2500 0.5000
La8 0.7500 0.7500 0.5568
H1 0.0193 0.2500 0.7438
H2 0.2500 0.0193 0.7438
H3 0.2500 0.4807 0.7438
H4 0.4807 0.2500 0.7438
H5 0.5193 0.7500 0.2562
H6 0.7500 0.5193 0.2562
H7 0.7500 0.9807 0.2562
H8 0.9807 0.7500 0.2562
O1 0.0140 0.7500 0.7585
O2 0.2500 0.5140 0.2415
O3 0.2500 0.9860 0.2415
O4 0.4860 0.7500 0.7585
O5 0.5140 0.2500 0.2415
O6 0.7500 0.0140 0.7585
O7 0.7500 0.4860 0.7585
O8 0.9860 0.2500 0.2415
# VASP energy	-0.4886	Ry/atom
# symmetry	P4/nmm, No. 129